Computed, not measured: SrPrCuSe3 after structural relaxation at the GGA-PBE level of DFT.

Output
E	-30.3	eV/f.u.
corrected total energy (MP2020 scheme)	-126.69	eV for the cell shown
crystal system	orthorhombic
formation enthalpy at 0 K	-1024	kJ/mol of formula units

Cell lengths 11.104, 4.181, 13.643 Å; angles 90.00, 90.00, 90.00 degrees
Sites, in units of the cell vectors:
Sr1 0.215 0.250 0.000
Sr2 0.285 0.750 0.500
Sr3 0.715 0.250 0.500
Sr4 0.785 0.750 0.000
Pr1 0.019 0.750 0.263
Pr2 0.481 0.250 0.763
Pr3 0.519 0.750 0.237
Pr4 0.981 0.250 0.737
Cu1 0.234 0.750 0.777
Cu2 0.266 0.250 0.277
Cu3 0.734 0.750 0.723
Cu4 0.766 0.250 0.223
Se1 0.052 0.750 0.884
Se2 0.103 0.250 0.399
Se3 0.237 0.250 0.670
Se4 0.263 0.750 0.170
Se5 0.397 0.750 0.899
Se6 0.448 0.250 0.384
Se7 0.552 0.750 0.616
Se8 0.603 0.250 0.101
Se9 0.737 0.250 0.830
Se10 0.763 0.750 0.330
Se11 0.897 0.750 0.601
Se12 0.948 0.250 0.116


Computed, not measured: TmGa2 after structural relaxation at the GGA-PBE level of DFT.

Output
E	-12.3	eV/f.u.
crystal system	orthorhombic
formation enthalpy at 0 K	-174	kJ/mol of formula units

Cell lengths 5.739, 5.739, 5.739 Å; angles 136.57, 106.45, 89.46 degrees
Sites, in units of the cell vectors:
Tm1 0.306 0.056 0.250
Tm2 0.694 0.944 0.750
Ga1 0.111 0.661 0.450
Ga2 0.289 0.339 0.950
Ga3 0.711 0.661 0.050
Ga4 0.889 0.339 0.550


Computed, not measured: KBaCeBiO6 after structural relaxation at the GGA-PBE level of DFT.

Output
E	-64.6	eV/f.u.
corrected total energy (MP2020 scheme)	-68.72	eV for the cell shown
crystal system	cubic
energy relative to the lowest polymorph listed for this composition	6.8	meV per atom
formation enthalpy at 0 K	-2526	kJ/mol of formula units

Cell lengths 6.172, 6.172, 6.172 Å; angles 60.00, 60.00, 60.00 degrees
Sites, in units of the cell vectors:
K1 0.000 0.000 0.000
Ba1 0.500 0.500 0.500
Ce1 0.750 0.750 0.750
Bi1 0.250 0.250 0.250
O1 0.005 0.005 0.495
O2 0.005 0.495 0.005
O3 0.005 0.495 0.495
O4 0.495 0.005 0.005
O5 0.495 0.005 0.495
O6 0.495 0.495 0.005


Computed, not measured: B8O after structural relaxation at the GGA-PBE level of DFT.

Output
E	-63.1	eV/f.u.
corrected total energy (MP2020 scheme)	-191.46	eV for the cell shown
crystal system	monoclinic
energy relative to the lowest polymorph listed for this composition	0.0	meV per atom
formation enthalpy at 0 K	-525	kJ/mol of formula units

Cell lengths 5.140, 5.140, 9.146 Å; angles 107.21, 107.21, 62.30 degrees
Sites, in units of the cell vectors:
B1 0.000 0.000 0.000
B2 0.018 0.579 0.219
B3 0.055 0.530 0.732
B4 0.108 0.638 0.426
B5 0.132 0.612 0.935
B6 0.166 0.834 0.833
B7 0.169 0.169 0.157
B8 0.294 0.294 0.488
B9 0.333 0.672 0.326
B10 0.337 0.997 0.322
B11 0.375 0.375 0.166
B12 0.499 0.830 0.838
B13 0.502 0.502 0.495
B14 0.530 0.055 0.732
B15 0.579 0.018 0.219
B16 0.612 0.132 0.935
B17 0.638 0.108 0.426
B18 0.663 0.663 0.667
B19 0.672 0.333 0.326
B20 0.797 0.797 0.014
B21 0.830 0.499 0.838
B22 0.834 0.166 0.833
B23 0.871 0.871 0.669
B24 0.997 0.337 0.322
O1 0.263 0.263 0.640
O2 0.407 0.407 0.020
O3 0.900 0.900 0.518